No. 1
In7GeIrO8: relaxed, PBE.

Cell: 7.2875 7.2875 7.2875 Å, 60.00 60.00 60.00°
Closest atoms and distances in Å follow each position.
Fractional positions:
In1 0.2500 0.7500 0.7500  4 O 2.26-2.41
In2 0.7500 0.2500 0.2500  4 O 2.26-2.41
In3 0.2500 0.2500 0.7500  4 O 2.26-2.41
In4 0.2500 0.7500 0.2500  4 O 2.26-2.41
In5 0.7500 0.7500 0.2500  4 O 2.26-2.41
In6 0.7500 0.2500 0.7500  4 O 2.26-2.41
In7 0.7500 0.7500 0.7500  4 O 2.15
Ge1 0.2500 0.2500 0.2500  4 O 1.80
Ir1 0.0000 0.0000 0.0000  6 In 2.58
O1 0.3510 0.9469 0.3510  1 Ge 1.80
O2 0.6297 0.6297 0.6297  4 In 2.15-2.26
O3 0.9469 0.3510 0.3510  1 Ge 1.80
O4 0.6297 0.1109 0.6297  4 In 2.15-2.26
O5 0.3510 0.3510 0.3510  1 Ge 1.80
O6 0.1109 0.6297 0.6297  4 In 2.15-2.26
O7 0.3510 0.3510 0.9469  1 Ge 1.80
O8 0.6297 0.6297 0.1109  4 In 2.15-2.26

Output
Total energy after the MP2020 corrections (eV/atom): -5.90
Space-group type: F-43m
Maximum piezoelectric response (C/m2): 0.4
Crystal system: cubic

---

No. 2
In6Ge2IrO8: relaxed, PBE.

Cell: 7.2482 7.2482 7.2482 Å, 60.00 60.00 60.00°
Closest atoms and distances in Å follow each position.
Fractional positions:
In1 0.7505 0.2495 0.2495  4 O 2.38, 1 Ir 2.56
In2 0.2495 0.7505 0.7505  4 O 2.38, 1 Ir 2.56
In3 0.2495 0.7505 0.2495  4 O 2.38, 1 Ir 2.56
In4 0.7505 0.2495 0.7505  4 O 2.38, 1 Ir 2.56
In5 0.2495 0.2495 0.7505  4 O 2.38, 1 Ir 2.56
In6 0.7505 0.7505 0.2495  4 O 2.38, 1 Ir 2.56
Ge1 0.2500 0.2500 0.2500  4 O 1.83
Ge2 0.7500 0.7500 0.7500  4 O 1.83
Ir1 0.0000 0.0000 0.0000  6 In 2.56
O1 0.3529 0.3529 0.3529  1 Ge 1.83
O2 0.6471 0.6471 0.6471  1 Ge 1.83
O3 0.3529 0.3529 0.9413  1 Ge 1.83
O4 0.3529 0.9413 0.3529  1 Ge 1.83
O5 0.6471 0.6471 0.0587  1 Ge 1.83
O6 0.6471 0.0587 0.6471  1 Ge 1.83
O7 0.9413 0.3529 0.3529  1 Ge 1.83
O8 0.0587 0.6471 0.6471  1 Ge 1.83

Output
Total energy after the MP2020 corrections (eV/atom): -5.94
Space-group type: Fm-3m
Crystal system: cubic

---

No. 3
KInGe4O12: relaxed, PBE.

Cell: 5.3064 5.3064 7.5105 Å, 90.00 90.00 88.84°
Closest atoms and distances in Å follow each position.
Fractional positions:
K1 0.9844 0.0156 0.0000  10 O 2.60-2.73
In1 0.5185 0.4815 0.5000  6 O 2.19-2.44
Ge1 0.4944 0.9905 0.2452  6 O 1.85-1.98
Ge2 0.4944 0.9905 0.7548  6 O 1.85-1.98
Ge3 0.0095 0.5056 0.7548  6 O 1.85-1.98
Ge4 0.0095 0.5056 0.2452  6 O 1.85-1.98
O1 0.2211 0.2203 0.2652  2 Ge 1.87-1.88
O2 0.7797 0.7789 0.2652  2 Ge 1.87-1.88
O3 0.7797 0.7789 0.7348  2 Ge 1.87-1.88
O4 0.2211 0.2203 0.7348  2 Ge 1.87-1.88
O5 0.2960 0.7040 0.3058  2 Ge 1.92
O6 0.7108 0.2892 0.2371  2 Ge 1.98
O7 0.7108 0.2892 0.7629  2 Ge 1.98
O8 0.2960 0.7040 0.6942  2 Ge 1.92
O9 0.4746 0.9579 0.0000  2 Ge 1.85
O10 0.5212 0.0682 0.5000  2 Ge 1.96, 1 In 2.19
O11 0.0421 0.5254 0.0000  2 Ge 1.85
O12 0.9318 0.4788 0.5000  2 Ge 1.96, 1 In 2.19

Output
Total energy after the MP2020 corrections (eV/atom): -6.04
Space-group type: Amm2
Crystal system: orthorhombic

---

No. 4
KInGe2O6: relaxed, PBE.

Cell: 7.1363 7.1363 5.7238 Å, 78.82 78.82 85.06°
Closest atoms and distances in Å follow each position.
Fractional positions:
K1 0.3118 0.6882 0.7500  8 O 2.74-2.83
K2 0.6882 0.3118 0.2500  8 O 2.74-2.83
In1 0.8960 0.1040 0.7500  6 O 2.15-2.26
In2 0.1040 0.8960 0.2500  6 O 2.15-2.26
Ge1 0.1955 0.3735 0.2919  4 O 1.74-1.81
Ge2 0.8045 0.6265 0.7081  4 O 1.74-1.81
Ge3 0.6265 0.8045 0.2081  4 O 1.74-1.81
Ge4 0.3735 0.1955 0.7919  4 O 1.74-1.81
O1 0.6342 0.6654 0.9761  2 Ge 1.80-1.81
O2 0.3346 0.3658 0.5239  2 Ge 1.80-1.81
O3 0.3658 0.3346 0.0239  2 Ge 1.80-1.81
O4 0.6654 0.6342 0.4761  2 Ge 1.80-1.81
O5 0.3975 0.9053 0.2851  1 Ge 1.74
O6 0.0947 0.6025 0.2149  1 Ge 1.74
O7 0.6025 0.0947 0.7149  1 Ge 1.74
O8 0.9053 0.3975 0.7851  1 Ge 1.74
O9 0.9618 0.8185 0.6290  1 Ge 1.78
O10 0.1815 0.0382 0.8710  1 Ge 1.78
O11 0.0382 0.1815 0.3710  1 Ge 1.78
O12 0.8185 0.9618 0.1290  1 Ge 1.78

Output
Total energy after the MP2020 corrections (eV/atom): -6.40
Space-group type: C2/c
Crystal system: monoclinic

---

No. 5
La2InGe2: relaxed, PBE.

Cell: 7.7263 7.7263 4.4600 Å, 90.00 90.00 90.00°
Closest atoms and distances in Å follow each position.
Fractional positions:
La1 0.3200 0.8200 0.5000  6 Ge 3.14-3.24
La2 0.8200 0.6800 0.5000  6 Ge 3.14-3.24
La3 0.1800 0.3200 0.5000  6 Ge 3.14-3.24
La4 0.6800 0.1800 0.5000  6 Ge 3.14-3.24
In1 0.0000 0.0000 0.0000  4 Ge 3.09
In2 0.5000 0.5000 0.0000  4 Ge 3.09
Ge1 0.3828 0.1172 0.0000  1 Ge 2.56
Ge2 0.8828 0.3828 0.0000  1 Ge 2.56
Ge3 0.1172 0.6172 0.0000  1 Ge 2.56
Ge4 0.6172 0.8828 0.0000  1 Ge 2.56

Output
Space-group type: P4/mbm
Crystal system: tetragonal

---

| no. | energy of formation (eV/atom) | calculated density (g/cm³) | raw total energy (eV/atom) |
| --- | --- | --- | --- |
| 1 | -1.646 | 7.26 | -5.5761 |
| 2 | -1.573 | 7.12 | -5.6136 |
| 3 | -1.500 | 5.00 | -5.5822 |
| 4 | -2.124 | 4.68 | -5.9913 |
| 5 | -0.766 | 6.71 | -5.1402 |